{
  "formula": "SiO2",
  "functional": "PBE",
  "state": "optimized geometry",
  "lattice_angstrom": [[12.085, 0.000, 0.000], [-6.042, 10.466, 0.000], [0.000, 0.000, 29.961]],
  "species": ["Si", "Si", "Si", "Si", "Si", "Si", "Si", "Si", "Si", "Si", "Si", "Si", "Si", "Si", "Si", "Si", "Si", "Si", "Si", "Si", "Si", "Si", "Si", "Si", "Si", "Si", "Si", "Si", "Si", "Si", "Si", "Si", "Si", "Si", "Si", "Si", "Si", "Si", "Si", "Si", "Si", "Si", "Si", "Si", "Si", "Si", "Si", "Si", "Si", "Si", "Si", "Si", "Si", "Si", "Si", "Si", "Si", "Si", "Si", "Si", "O", "O", "O", "O", "O", "O", "O", "O", "O", "O", "O", "O", "O", "O", "O", "O", "O", "O", "O", "O", "O", "O", "O", "O", "O", "O", "O", "O", "O", "O", "O", "O", "O", "O", "O", "O", "O", "O", "O", "O", "O", "O", "O", "O", "O", "O", "O", "O", "O", "O", "O", "O", "O", "O", "O", "O", "O", "O", "O", "O", "O", "O", "O", "O", "O", "O", "O", "O", "O", "O", "O", "O", "O", "O", "O", "O", "O", "O", "O", "O", "O", "O", "O", "O", "O", "O", "O", "O", "O", "O", "O", "O", "O", "O", "O", "O", "O", "O", "O", "O", "O", "O", "O", "O", "O", "O", "O", "O", "O", "O", "O", "O", "O", "O", "O", "O", "O", "O", "O", "O"],
  "frac_coords": [[0.030, 0.151, 0.200], [0.030, 0.879, 0.967], [0.087, 0.335, 0.048], [0.087, 0.751, 0.119], [0.098, 0.396, 0.150], [0.098, 0.702, 0.017], [0.115, 0.528, 0.635], [0.115, 0.587, 0.532], [0.121, 0.151, 0.300], [0.121, 0.970, 0.866], [0.151, 0.030, 0.134], [0.151, 0.121, 0.033], [0.249, 0.335, 0.452], [0.249, 0.913, 0.714], [0.298, 0.396, 0.350], [0.298, 0.902, 0.816], [0.302, 0.626, 0.033], [0.302, 0.677, 0.134], [0.323, 0.626, 0.467], [0.323, 0.698, 0.699], [0.335, 0.087, 0.286], [0.335, 0.249, 0.881], [0.374, 0.677, 0.366], [0.374, 0.698, 0.801], [0.396, 0.098, 0.184], [0.396, 0.298, 0.983], [0.413, 0.528, 0.865], [0.413, 0.885, 0.301], [0.472, 0.587, 0.968], [0.472, 0.885, 0.199], [0.528, 0.115, 0.699], [0.528, 0.413, 0.468], [0.587, 0.115, 0.801], [0.587, 0.472, 0.365], [0.604, 0.702, 0.483], [0.604, 0.902, 0.684], [0.626, 0.302, 0.301], [0.626, 0.323, 0.866], [0.665, 0.751, 0.381], [0.665, 0.913, 0.786], [0.677, 0.302, 0.199], [0.677, 0.374, 0.967], [0.698, 0.323, 0.634], [0.698, 0.374, 0.533], [0.702, 0.098, 0.316], [0.702, 0.604, 0.850], [0.751, 0.087, 0.214], [0.751, 0.665, 0.952], [0.849, 0.879, 0.533], [0.849, 0.970, 0.634], [0.879, 0.030, 0.366], [0.879, 0.849, 0.800], [0.885, 0.413, 0.032], [0.885, 0.472, 0.135], [0.902, 0.298, 0.517], [0.902, 0.604, 0.650], [0.913, 0.249, 0.619], [0.913, 0.665, 0.548], [0.970, 0.121, 0.467], [0.970, 0.849, 0.700], [0.000, 0.073, 0.333], [0.000, 0.927, 0.833], [0.022, 0.443, 0.512], [0.022, 0.579, 0.654], [0.044, 0.373, 0.636], [0.044, 0.671, 0.531], [0.067, 0.135, 0.250], [0.067, 0.933, 0.917], [0.073, 0.000, 0.000], [0.073, 0.073, 0.167], [0.089, 0.326, 0.102], [0.089, 0.763, 0.065], [0.091, 0.214, 0.027], [0.091, 0.876, 0.140], [0.100, 0.303, 0.188], [0.100, 0.796, 0.978], [0.124, 0.214, 0.473], [0.124, 0.909, 0.693], [0.135, 0.067, 0.083], [0.158, 0.579, 0.583], [0.204, 0.303, 0.312], [0.204, 0.900, 0.855], [0.208, 0.471, 0.032], [0.208, 0.737, 0.135], [0.214, 0.091, 0.307], [0.214, 0.124, 0.860], [0.230, 0.531, 0.153], [0.230, 0.699, 0.013], [0.237, 0.326, 0.398], [0.237, 0.911, 0.769], [0.239, 0.578, 0.666], [0.239, 0.661, 0.500], [0.263, 0.471, 0.468], [0.263, 0.792, 0.698], [0.301, 0.531, 0.347], [0.301, 0.770, 0.820], [0.303, 0.100, 0.145], [0.303, 0.204, 0.022], [0.324, 0.648, 0.750], [0.324, 0.676, 0.417], [0.326, 0.089, 0.231], [0.326, 0.237, 0.935], [0.329, 0.373, 0.864], [0.329, 0.956, 0.302], [0.339, 0.578, 0.834], [0.339, 0.761, 0.333], [0.352, 0.676, 0.083], [0.373, 0.044, 0.698], [0.373, 0.329, 0.469], [0.421, 0.443, 0.988], [0.421, 0.579, 0.917], [0.421, 0.842, 0.250], [0.421, 0.978, 0.179], [0.422, 0.661, 0.000], [0.422, 0.761, 0.167], [0.443, 0.022, 0.821], [0.443, 0.421, 0.346], [0.469, 0.699, 0.487], [0.469, 0.770, 0.680], [0.471, 0.208, 0.302], [0.471, 0.263, 0.865], [0.529, 0.737, 0.365], [0.529, 0.792, 0.802], [0.531, 0.230, 0.180], [0.531, 0.301, 0.987], [0.557, 0.579, 0.846], [0.557, 0.978, 0.321], [0.578, 0.239, 0.667], [0.578, 0.339, 0.500], [0.579, 0.022, 0.679], [0.579, 0.158, 0.750], [0.579, 0.421, 0.417], [0.579, 0.557, 0.488], [0.627, 0.671, 0.969], [0.627, 0.956, 0.198], [0.648, 0.324, 0.583], [0.661, 0.239, 0.833], [0.661, 0.422, 0.334], [0.671, 0.044, 0.802], [0.671, 0.627, 0.364], [0.674, 0.763, 0.435], [0.674, 0.911, 0.731], [0.676, 0.324, 0.917], [0.676, 0.352, 0.250], [0.697, 0.796, 0.522], [0.697, 0.900, 0.645], [0.699, 0.230, 0.320], [0.699, 0.469, 0.847], [0.737, 0.208, 0.198], [0.737, 0.529, 0.968], [0.761, 0.339, 0.000], [0.761, 0.422, 0.166], [0.763, 0.089, 0.269], [0.763, 0.674, 0.898], [0.770, 0.301, 0.513], [0.770, 0.469, 0.653], [0.786, 0.876, 0.360], [0.786, 0.909, 0.807], [0.792, 0.263, 0.635], [0.792, 0.529, 0.532], [0.796, 0.100, 0.355], [0.796, 0.697, 0.812], [0.842, 0.421, 0.083], [0.865, 0.933, 0.583], [0.876, 0.091, 0.193], [0.876, 0.786, 0.973], [0.900, 0.204, 0.478], [0.900, 0.697, 0.688], [0.909, 0.124, 0.640], [0.909, 0.786, 0.527], [0.911, 0.237, 0.565], [0.911, 0.674, 0.602], [0.927, 0.000, 0.500], [0.927, 0.927, 0.667], [0.933, 0.067, 0.417], [0.933, 0.865, 0.750], [0.956, 0.329, 0.031], [0.956, 0.627, 0.136], [0.978, 0.421, 0.154], [0.978, 0.557, 0.012]],
  "total_energy_ev_per_fu": -23.68,
  "energy_mp2020_ev_per_atom": -8.35
}

{
  "formula": "BaZn3P4H14O18",
  "functional": "PBE",
  "state": "optimized geometry",
  "lattice_angstrom": [[11.457, -2.670, 0.000], [11.457, 2.670, 0.000], [-4.045, 0.000, 14.833]],
  "species": ["Ba", "Ba", "Zn", "Zn", "Zn", "Zn", "Zn", "Zn", "P", "P", "P", "P", "P", "P", "P", "P", "H", "H", "H", "H", "H", "H", "H", "H", "H", "H", "H", "H", "H", "H", "H", "H", "H", "H", "H", "H", "H", "H", "H", "H", "H", "H", "H", "H", "O", "O", "O", "O", "O", "O", "O", "O", "O", "O", "O", "O", "O", "O", "O", "O", "O", "O", "O", "O", "O", "O", "O", "O", "O", "O", "O", "O", "O", "O", "O", "O", "O", "O", "O", "O"],
  "frac_coords": [[0.010, 0.990, 0.750], [0.990, 0.010, 0.250], [0.000, 0.000, 0.000], [0.000, 0.000, 0.500], [0.252, 0.366, 0.958], [0.366, 0.252, 0.458], [0.634, 0.748, 0.542], [0.748, 0.634, 0.042], [0.215, 0.298, 0.627], [0.298, 0.215, 0.127], [0.424, 0.433, 0.398], [0.433, 0.424, 0.898], [0.567, 0.576, 0.102], [0.576, 0.567, 0.602], [0.702, 0.785, 0.873], [0.785, 0.702, 0.373], [0.034, 0.757, 0.526], [0.061, 0.212, 0.212], [0.154, 0.170, 0.314], [0.170, 0.154, 0.814], [0.212, 0.061, 0.712], [0.243, 0.966, 0.974], [0.258, 0.295, 0.220], [0.295, 0.258, 0.720], [0.358, 0.437, 0.157], [0.365, 0.401, 0.316], [0.401, 0.365, 0.816], [0.437, 0.358, 0.657], [0.438, 0.480, 0.132], [0.480, 0.438, 0.632], [0.520, 0.562, 0.368], [0.562, 0.520, 0.868], [0.563, 0.642, 0.343], [0.599, 0.635, 0.184], [0.635, 0.599, 0.684], [0.642, 0.563, 0.843], [0.705, 0.742, 0.280], [0.742, 0.705, 0.780], [0.757, 0.034, 0.026], [0.788, 0.939, 0.288], [0.830, 0.846, 0.186], [0.846, 0.830, 0.686], [0.939, 0.788, 0.788], [0.966, 0.243, 0.474], [0.057, 0.090, 0.443], [0.080, 0.423, 0.378], [0.090, 0.057, 0.943], [0.097, 0.296, 0.090], [0.116, 0.138, 0.762], [0.138, 0.116, 0.262], [0.217, 0.706, 0.896], [0.243, 0.699, 0.402], [0.257, 0.357, 0.085], [0.294, 0.783, 0.604], [0.296, 0.097, 0.590], [0.301, 0.757, 0.098], [0.357, 0.257, 0.585], [0.377, 0.415, 0.475], [0.415, 0.377, 0.975], [0.423, 0.080, 0.878], [0.424, 0.458, 0.184], [0.458, 0.424, 0.684], [0.542, 0.576, 0.316], [0.576, 0.542, 0.816], [0.577, 0.920, 0.122], [0.585, 0.623, 0.025], [0.623, 0.585, 0.525], [0.643, 0.743, 0.415], [0.699, 0.243, 0.902], [0.704, 0.903, 0.410], [0.706, 0.217, 0.396], [0.743, 0.643, 0.915], [0.757, 0.301, 0.598], [0.783, 0.294, 0.104], [0.862, 0.884, 0.738], [0.884, 0.862, 0.238], [0.903, 0.704, 0.910], [0.910, 0.943, 0.057], [0.920, 0.577, 0.622], [0.943, 0.910, 0.557]],
  "total_energy_ev_per_fu": -218.17,
  "energy_mp2020_ev_per_atom": -5.76
}

{
  "formula": "Al4SiC4",
  "functional": "PBE",
  "state": "optimized geometry",
  "lattice_angstrom": [[3.292, 0.000, 0.000], [-1.646, 2.851, 0.000], [0.000, 0.000, 21.837]],
  "species": ["Al", "Al", "Al", "Al", "Al", "Al", "Al", "Al", "Si", "Si", "C", "C", "C", "C", "C", "C", "C", "C"],
  "frac_coords": [[0.000, 0.000, 0.000], [0.000, 0.000, 0.500], [0.333, 0.667, 0.104], [0.333, 0.667, 0.696], [0.333, 0.667, 0.915], [0.667, 0.333, 0.196], [0.667, 0.333, 0.415], [0.667, 0.333, 0.604], [0.000, 0.000, 0.314], [0.000, 0.000, 0.814], [0.000, 0.000, 0.151], [0.000, 0.000, 0.400], [0.000, 0.000, 0.651], [0.000, 0.000, 0.900], [0.333, 0.667, 0.016], [0.333, 0.667, 0.787], [0.667, 0.333, 0.287], [0.667, 0.333, 0.516]],
  "total_energy_ev_per_fu": -57.94,
  "relative_energy_mev_per_atom": 0.0
}

Number 1: formation energy -3244.1 meV/atom. Number 2: formation energy -1665.5 meV/atom. Number 3: formation energy -69.0 meV/atom.